Crystalline La5Ga4SnSb10 at its relaxed geometry, computed with PBE-GGA.

CIF file:
```
data_La5Ga4SnSb10
_symmetry_space_group_name_H-M 'P 1'
_symmetry_Int_Tables_number 1
_cell_length_a 4.468
_cell_length_b 11.781
_cell_length_c 22.261
_cell_angle_alpha 100.91
_cell_angle_beta 90.05
_cell_angle_gamma 90.14
loop_
_symmetry_equiv_pos_as_xyz
'x,y,z'
loop_
_atom_site_label
_atom_site_type_symbol
_atom_site_fract_x
_atom_site_fract_y
_atom_site_fract_z
_atom_site_occupancy
La1 La 0.000 0.000 0.000 1
La2 La 0.000 0.005 0.800 1
La3 La 0.496 0.443 0.744 1
La4 La 0.496 0.448 0.945 1
La5 La 0.498 0.448 0.144 1
La6 La 0.499 0.442 0.541 1
La7 La 0.500 0.446 0.342 1
La8 La 0.996 0.000 0.397 1
La9 La 0.997 0.005 0.598 1
La10 La 0.999 0.999 0.199 1
Ga1 Ga 0.248 0.723 0.202 1
Ga2 Ga 0.248 0.723 0.399 1
Ga3 Ga 0.248 0.724 0.004 1
Ga4 Ga 0.248 0.724 0.611 1
Ga5 Ga 0.248 0.724 0.815 1
Ga6 Ga 0.747 0.724 0.140 1
Ga7 Ga 0.748 0.723 0.339 1
Ga8 Ga 0.748 0.724 0.943 1
Sn1 Sn 0.748 0.723 0.538 1
Sn2 Sn 0.748 0.724 0.741 1
Sb1 Sb 0.000 0.545 0.254 1
Sb2 Sb 0.004 0.535 0.651 1
Sb3 Sb 0.004 0.536 0.451 1
Sb4 Sb 0.492 0.912 0.488 1
Sb5 Sb 0.492 0.913 0.689 1
Sb6 Sb 0.497 0.902 0.289 1
Sb7 Sb 0.498 0.902 0.089 1
Sb8 Sb 0.501 0.223 0.022 1
Sb9 Sb 0.501 0.225 0.823 1
Sb10 Sb 0.501 0.906 0.890 1
Sb11 Sb 0.503 0.223 0.221 1
Sb12 Sb 0.503 0.225 0.622 1
Sb13 Sb 0.504 0.223 0.420 1
Sb14 Sb 0.991 0.222 0.521 1
Sb15 Sb 0.993 0.224 0.321 1
Sb16 Sb 0.994 0.223 0.722 1
Sb17 Sb 0.994 0.224 0.122 1
Sb18 Sb 0.995 0.224 0.922 1
Sb19 Sb 0.996 0.541 0.853 1
Sb20 Sb 0.999 0.545 0.053 1
```

Properties
DFT formation energy: -76.67 kJ/mol of atoms
Total DFT energy (no corrections): -4.803 eV per atom


Crystalline La9Ga5Se21 at its relaxed geometry, computed with PBE-GGA.

CIF file:
```
data_La9Ga5Se21
_symmetry_space_group_name_H-M 'P 1'
_symmetry_Int_Tables_number 1
_cell_length_a 12.448
_cell_length_b 12.448
_cell_length_c 12.448
_cell_angle_alpha 96.44
_cell_angle_beta 96.44
_cell_angle_gamma 96.44
loop_
_symmetry_equiv_pos_as_xyz
'x,y,z'
loop_
_atom_site_label
_atom_site_type_symbol
_atom_site_fract_x
_atom_site_fract_y
_atom_site_fract_z
_atom_site_occupancy
La1 La 0.032 0.170 0.799 1
La2 La 0.035 0.800 0.665 1
La3 La 0.131 0.365 0.501 1
La4 La 0.138 0.999 0.372 1
La5 La 0.170 0.799 0.032 1
La6 La 0.330 0.701 0.468 1
La7 La 0.365 0.501 0.131 1
La8 La 0.372 0.138 0.999 1
La9 La 0.467 0.702 0.840 1
La10 La 0.468 0.330 0.701 1
La11 La 0.501 0.131 0.365 1
La12 La 0.665 0.035 0.800 1
La13 La 0.701 0.468 0.330 1
La14 La 0.702 0.840 0.467 1
La15 La 0.799 0.032 0.170 1
La16 La 0.800 0.665 0.035 1
La17 La 0.840 0.467 0.702 1
La18 La 0.999 0.372 0.138 1
Ga1 Ga 0.073 0.073 0.073 1
Ga2 Ga 0.140 0.473 0.806 1
Ga3 Ga 0.269 0.269 0.269 1
Ga4 Ga 0.306 0.973 0.640 1
Ga5 Ga 0.473 0.806 0.140 1
Ga6 Ga 0.572 0.572 0.572 1
Ga7 Ga 0.640 0.306 0.973 1
Ga8 Ga 0.769 0.769 0.769 1
Ga9 Ga 0.806 0.140 0.473 1
Ga10 Ga 0.973 0.640 0.306 1
Se1 Se 0.029 0.614 0.124 1
Se2 Se 0.051 0.196 0.281 1
Se3 Se 0.071 0.553 0.645 1
Se4 Se 0.099 0.764 0.434 1
Se5 Se 0.124 0.029 0.614 1
Se6 Se 0.145 0.996 0.903 1
Se7 Se 0.196 0.281 0.051 1
Se8 Se 0.220 0.314 0.733 1
Se9 Se 0.222 0.466 0.310 1
Se10 Se 0.264 0.599 0.934 1
Se11 Se 0.277 0.794 0.698 1
Se12 Se 0.281 0.051 0.196 1
Se13 Se 0.310 0.222 0.466 1
Se14 Se 0.314 0.733 0.220 1
Se15 Se 0.366 0.941 0.460 1
Se16 Se 0.384 0.533 0.626 1
Se17 Se 0.398 0.886 0.983 1
Se18 Se 0.434 0.099 0.764 1
Se19 Se 0.460 0.366 0.941 1
Se20 Se 0.466 0.310 0.222 1
Se21 Se 0.533 0.626 0.384 1
Se22 Se 0.553 0.645 0.071 1
Se23 Se 0.570 0.801 0.656 1
Se24 Se 0.599 0.934 0.264 1
Se25 Se 0.614 0.124 0.029 1
Se26 Se 0.626 0.384 0.533 1
Se27 Se 0.645 0.071 0.553 1
Se28 Se 0.656 0.570 0.801 1
Se29 Se 0.698 0.277 0.794 1
Se30 Se 0.699 0.855 0.943 1
Se31 Se 0.733 0.220 0.314 1
Se32 Se 0.764 0.434 0.099 1
Se33 Se 0.794 0.698 0.277 1
Se34 Se 0.801 0.656 0.570 1
Se35 Se 0.855 0.943 0.699 1
Se36 Se 0.886 0.983 0.398 1
Se37 Se 0.903 0.145 0.996 1
Se38 Se 0.934 0.264 0.599 1
Se39 Se 0.941 0.460 0.366 1
Se40 Se 0.943 0.699 0.855 1
Se41 Se 0.983 0.398 0.886 1
Se42 Se 0.996 0.903 0.145 1
```

Properties
DFT formation energy: -172.96 kJ/mol of atoms
Total DFT energy (no corrections): -5.309 eV per atom


Crystalline La4GaSi3 at its relaxed geometry, computed with PBE-GGA.

CIF file:
```
data_La4GaSi3
_symmetry_space_group_name_H-M 'P 1'
_symmetry_Int_Tables_number 1
_cell_length_a 4.055
_cell_length_b 4.532
_cell_length_c 11.410
_cell_angle_alpha 90.00
_cell_angle_beta 90.00
_cell_angle_gamma 90.00
loop_
_symmetry_equiv_pos_as_xyz
'x,y,z'
loop_
_atom_site_label
_atom_site_type_symbol
_atom_site_fract_x
_atom_site_fract_y
_atom_site_fract_z
_atom_site_occupancy
La1 La 0.000 0.000 0.000 1
La2 La 0.000 0.500 0.495 1
La3 La 0.500 0.000 0.278 1
La4 La 0.500 0.500 0.782 1
Ga1 Ga 0.000 0.000 0.706 1
Si1 Si 0.000 0.500 0.206 1
Si2 Si 0.500 0.000 0.568 1
Si3 Si 0.500 0.500 0.072 1
```

Properties
DFT formation energy: -65.62 kJ/mol of atoms
Total DFT energy (no corrections): -5.588 eV per atom


Crystalline LaGaSi at its relaxed geometry, computed with PBE-GGA.

CIF file:
```
data_LaGaSi
_symmetry_space_group_name_H-M 'P 1'
_symmetry_Int_Tables_number 1
_cell_length_a 7.867
_cell_length_b 7.867
_cell_length_c 7.867
_cell_angle_alpha 148.22
_cell_angle_beta 148.22
_cell_angle_gamma 45.56
loop_
_symmetry_equiv_pos_as_xyz
'x,y,z'
loop_
_atom_site_label
_atom_site_type_symbol
_atom_site_fract_x
_atom_site_fract_y
_atom_site_fract_z
_atom_site_occupancy
La1 La 0.000 0.000 0.000 1
La2 La 0.750 0.250 0.500 1
Ga1 Ga 0.167 0.667 0.500 1
Ga2 Ga 0.417 0.417 0.000 1
Si1 Si 0.334 0.834 0.500 1
Si2 Si 0.584 0.584 0.000 1
```

Properties
DFT formation energy: -67.05 kJ/mol of atoms
Total DFT energy (no corrections): -5.182 eV per atom


Crystalline LaZnGa at its relaxed geometry, computed with PBE-GGA.

CIF file:
```
data_LaZnGa
_symmetry_space_group_name_H-M 'P 1'
_symmetry_Int_Tables_number 1
_cell_length_a 4.545
_cell_length_b 4.545
_cell_length_c 7.898
_cell_angle_alpha 90.00
_cell_angle_beta 90.00
_cell_angle_gamma 120.00
loop_
_symmetry_equiv_pos_as_xyz
'x,y,z'
loop_
_atom_site_label
_atom_site_type_symbol
_atom_site_fract_x
_atom_site_fract_y
_atom_site_fract_z
_atom_site_occupancy
La1 La 0.000 0.000 0.000 1
La2 La 0.000 0.000 0.500 1
Zn1 Zn 0.333 0.667 0.250 1
Zn2 Zn 0.667 0.333 0.750 1
Ga1 Ga 0.333 0.667 0.750 1
Ga2 Ga 0.667 0.333 0.250 1
```

Properties
DFT formation energy: -52.01 kJ/mol of atoms
Total DFT energy (no corrections): -3.614 eV per atom


Crystalline Li3Ga2 at its relaxed geometry, computed with PBE-GGA.

CIF file:
```
data_Li3Ga2
_symmetry_space_group_name_H-M 'P 1'
_symmetry_Int_Tables_number 1
_cell_length_a 5.260
_cell_length_b 5.260
_cell_length_c 5.260
_cell_angle_alpha 49.08
_cell_angle_beta 49.08
_cell_angle_gamma 49.08
loop_
_symmetry_equiv_pos_as_xyz
'x,y,z'
loop_
_atom_site_label
_atom_site_type_symbol
_atom_site_fract_x
_atom_site_fract_y
_atom_site_fract_z
_atom_site_occupancy
Li1 Li 0.000 0.000 0.000 1
Li2 Li 0.404 0.404 0.404 1
Li3 Li 0.596 0.596 0.596 1
Ga1 Ga 0.201 0.201 0.201 1
Ga2 Ga 0.799 0.799 0.799 1
```

Properties
DFT formation energy: -31.28 kJ/mol of atoms
Total DFT energy (no corrections): -2.681 eV per atom


Crystalline LiGa3 at its relaxed geometry, computed with PBE-GGA.

CIF file:
```
data_LiGa3
_symmetry_space_group_name_H-M 'P 1'
_symmetry_Int_Tables_number 1
_cell_length_a 4.072
_cell_length_b 4.072
_cell_length_c 4.072
_cell_angle_alpha 90.00
_cell_angle_beta 90.00
_cell_angle_gamma 90.00
loop_
_symmetry_equiv_pos_as_xyz
'x,y,z'
loop_
_atom_site_label
_atom_site_type_symbol
_atom_site_fract_x
_atom_site_fract_y
_atom_site_fract_z
_atom_site_occupancy
Li1 Li 0.000 0.000 0.000 1
Ga1 Ga 0.000 0.500 0.500 1
Ga2 Ga 0.500 0.000 0.500 1
Ga3 Ga 0.500 0.500 0.000 1
```

Properties
DFT formation energy: -18.67 kJ/mol of atoms
Total DFT energy (no corrections): -2.942 eV per atom


Crystalline Li3Ga7 at its relaxed geometry, computed with PBE-GGA.

CIF file:
```
data_Li3Ga7
_symmetry_space_group_name_H-M 'P 1'
_symmetry_Int_Tables_number 1
_cell_length_a 7.636
_cell_length_b 7.636
_cell_length_c 7.636
_cell_angle_alpha 68.30
_cell_angle_beta 68.30
_cell_angle_gamma 68.30
loop_
_symmetry_equiv_pos_as_xyz
'x,y,z'
loop_
_atom_site_label
_atom_site_type_symbol
_atom_site_fract_x
_atom_site_fract_y
_atom_site_fract_z
_atom_site_occupancy
Li1 Li 0.119 0.119 0.529 1
Li2 Li 0.119 0.529 0.119 1
Li3 Li 0.471 0.881 0.881 1
Li4 Li 0.529 0.119 0.119 1
Li5 Li 0.881 0.471 0.881 1
Li6 Li 0.881 0.881 0.471 1
Ga1 Ga 0.076 0.076 0.076 1
Ga2 Ga 0.175 0.491 0.491 1
Ga3 Ga 0.179 0.704 0.704 1
Ga4 Ga 0.296 0.296 0.821 1
Ga5 Ga 0.296 0.821 0.296 1
Ga6 Ga 0.491 0.175 0.491 1
Ga7 Ga 0.491 0.491 0.175 1
Ga8 Ga 0.509 0.509 0.825 1
Ga9 Ga 0.509 0.825 0.509 1
Ga10 Ga 0.704 0.179 0.704 1
Ga11 Ga 0.704 0.704 0.179 1
Ga12 Ga 0.821 0.296 0.296 1
Ga13 Ga 0.825 0.509 0.509 1
Ga14 Ga 0.924 0.924 0.924 1
```

Properties
DFT formation energy: -20.71 kJ/mol of atoms
Total DFT energy (no corrections): -2.907 eV per atom


Crystalline Li3Ga at its relaxed geometry, computed with PBE-GGA.

CIF file:
```
data_Li3Ga
_symmetry_space_group_name_H-M 'P 1'
_symmetry_Int_Tables_number 1
_cell_length_a 5.061
_cell_length_b 5.061
_cell_length_c 5.061
_cell_angle_alpha 134.61
_cell_angle_beta 134.61
_cell_angle_gamma 66.14
loop_
_symmetry_equiv_pos_as_xyz
'x,y,z'
loop_
_atom_site_label
_atom_site_type_symbol
_atom_site_fract_x
_atom_site_fract_y
_atom_site_fract_z
_atom_site_occupancy
Li1 Li 0.000 0.000 0.000 1
Li2 Li 0.250 0.750 0.500 1
Li3 Li 0.750 0.250 0.500 1
Ga1 Ga 0.500 0.500 0.000 1
```

Properties
DFT formation energy: -19.81 kJ/mol of atoms
Total DFT energy (no corrections): -2.394 eV per atom
Energy relative to the lowest polymorph listed for this composition: 0.009 eV/atom


Crystalline LiGa at its relaxed geometry, computed with PBE-GGA.

CIF file:
```
data_LiGa
_symmetry_space_group_name_H-M 'P 1'
_symmetry_Int_Tables_number 1
_cell_length_a 4.425
_cell_length_b 4.425
_cell_length_c 4.425
_cell_angle_alpha 60.00
_cell_angle_beta 60.00
_cell_angle_gamma 60.00
loop_
_symmetry_equiv_pos_as_xyz
'x,y,z'
loop_
_atom_site_label
_atom_site_type_symbol
_atom_site_fract_x
_atom_site_fract_y
_atom_site_fract_z
_atom_site_occupancy
Li1 Li 0.125 0.125 0.125 1
Li2 Li 0.875 0.875 0.875 1
Ga1 Ga 0.375 0.375 0.375 1
Ga2 Ga 0.625 0.625 0.625 1
```

Properties
DFT formation energy: -30.41 kJ/mol of atoms
Total DFT energy (no corrections): -2.784 eV per atom


Crystalline LiGa3 at its relaxed geometry, computed with PBE-GGA.

CIF file:
```
data_LiGa3
_symmetry_space_group_name_H-M 'P 1'
_symmetry_Int_Tables_number 1
_cell_length_a 5.722
_cell_length_b 5.722
_cell_length_c 4.870
_cell_angle_alpha 90.00
_cell_angle_beta 90.00
_cell_angle_gamma 120.00
loop_
_symmetry_equiv_pos_as_xyz
'x,y,z'
loop_
_atom_site_label
_atom_site_type_symbol
_atom_site_fract_x
_atom_site_fract_y
_atom_site_fract_z
_atom_site_occupancy
Li1 Li 0.333 0.667 0.250 1
Li2 Li 0.667 0.333 0.750 1
Ga1 Ga 0.166 0.332 0.750 1
Ga2 Ga 0.166 0.834 0.750 1
Ga3 Ga 0.332 0.166 0.250 1
Ga4 Ga 0.668 0.834 0.750 1
Ga5 Ga 0.834 0.166 0.250 1
Ga6 Ga 0.834 0.668 0.250 1
```

Properties
DFT formation energy: -16.71 kJ/mol of atoms
Total DFT energy (no corrections): -2.921 eV per atom


Crystalline Li3Ga at its relaxed geometry, computed with PBE-GGA.

CIF file:
```
data_Li3Ga
_symmetry_space_group_name_H-M 'P 1'
_symmetry_Int_Tables_number 1
_cell_length_a 4.484
_cell_length_b 4.484
_cell_length_c 4.484
_cell_angle_alpha 60.00
_cell_angle_beta 60.00
_cell_angle_gamma 60.00
loop_
_symmetry_equiv_pos_as_xyz
'x,y,z'
loop_
_atom_site_label
_atom_site_type_symbol
_atom_site_fract_x
_atom_site_fract_y
_atom_site_fract_z
_atom_site_occupancy
Li1 Li 0.000 0.000 0.000 1
Li2 Li 0.250 0.250 0.250 1
Li3 Li 0.750 0.750 0.750 1
Ga1 Ga 0.500 0.500 0.500 1
```

Properties
DFT formation energy: -20.67 kJ/mol of atoms
Total DFT energy (no corrections): -2.403 eV per atom
Energy relative to the lowest polymorph listed for this composition: 0.000 eV/atom